Record 1
# Ti2PCl13

Ti2PCl13 after structural relaxation (PBE, the Materials Project).

a b c (Å): 11.140 12.129 30.166
angles (deg): 90.00 90.00 90.00
Atoms (fractional coordinates):
Ti 0.250 0.236 0.280
Ti 0.750 0.764 0.720
Ti 0.750 0.736 0.220
Ti 0.250 0.264 0.780
Ti 0.250 0.090 0.182
Ti 0.750 0.910 0.818
Ti 0.750 0.590 0.318
Ti 0.250 0.410 0.682
Ti 0.250 0.588 0.090
Ti 0.750 0.412 0.910
Ti 0.750 0.088 0.410
Ti 0.250 0.912 0.590
Ti 0.250 0.728 0.991
Ti 0.750 0.272 0.009
Ti 0.750 0.228 0.509
Ti 0.250 0.772 0.491
P 0.250 0.731 0.304
P 0.750 0.269 0.696
P 0.750 0.231 0.196
P 0.250 0.769 0.804
P 0.250 0.307 0.458
P 0.750 0.693 0.542
P 0.750 0.807 0.042
P 0.250 0.193 0.958
Cl 0.250 0.136 0.342
Cl 0.750 0.864 0.658
Cl 0.750 0.636 0.158
Cl 0.250 0.364 0.842
Cl 0.250 0.294 0.200
Cl 0.750 0.706 0.800
Cl 0.750 0.794 0.300
Cl 0.250 0.206 0.700
Cl 0.098 0.351 0.295
Cl 0.598 0.649 0.705
Cl 0.902 0.851 0.205
Cl 0.402 0.149 0.795
Cl 0.902 0.649 0.705
Cl 0.402 0.351 0.295
Cl 0.098 0.149 0.795
Cl 0.598 0.851 0.205
Cl 0.106 0.099 0.246
Cl 0.606 0.901 0.754
Cl 0.894 0.599 0.254
Cl 0.394 0.401 0.746
Cl 0.894 0.901 0.754
Cl 0.394 0.099 0.246
Cl 0.106 0.401 0.746
Cl 0.606 0.599 0.254
Cl 0.098 0.114 0.133
Cl 0.598 0.886 0.867
Cl 0.902 0.614 0.367
Cl 0.402 0.386 0.633
Cl 0.902 0.886 0.867
Cl 0.402 0.114 0.133
Cl 0.098 0.386 0.633
Cl 0.598 0.614 0.367
Cl 0.250 0.907 0.185
Cl 0.750 0.093 0.815
Cl 0.750 0.407 0.315
Cl 0.250 0.593 0.685
Cl 0.250 0.405 0.087
Cl 0.750 0.595 0.913
Cl 0.750 0.905 0.413
Cl 0.250 0.095 0.587
Cl 0.250 0.792 0.069
Cl 0.750 0.208 0.931
Cl 0.750 0.292 0.431
Cl 0.250 0.708 0.569
Cl 0.098 0.614 0.137
Cl 0.598 0.386 0.863
Cl 0.902 0.114 0.363
Cl 0.402 0.886 0.637
Cl 0.902 0.386 0.863
Cl 0.402 0.614 0.137
Cl 0.098 0.886 0.637
Cl 0.598 0.114 0.363
Cl 0.107 0.596 0.025
Cl 0.607 0.404 0.975
Cl 0.893 0.096 0.475
Cl 0.393 0.904 0.525
Cl 0.893 0.404 0.975
Cl 0.393 0.596 0.025
Cl 0.107 0.904 0.525
Cl 0.607 0.096 0.475
Cl 0.099 0.844 0.974
Cl 0.599 0.156 0.026
Cl 0.901 0.344 0.526
Cl 0.401 0.656 0.474
Cl 0.901 0.156 0.026
Cl 0.401 0.844 0.974
Cl 0.099 0.656 0.474
Cl 0.599 0.344 0.526
Cl 0.250 0.626 0.928
Cl 0.750 0.374 0.072
Cl 0.750 0.126 0.572
Cl 0.250 0.874 0.428
Cl 0.107 0.823 0.308
Cl 0.607 0.177 0.692
Cl 0.893 0.323 0.192
Cl 0.393 0.677 0.808
Cl 0.893 0.177 0.692
Cl 0.393 0.823 0.308
Cl 0.107 0.677 0.808
Cl 0.607 0.323 0.192
Cl 0.250 0.626 0.353
Cl 0.750 0.374 0.647
Cl 0.750 0.126 0.147
Cl 0.250 0.874 0.853
Cl 0.250 0.649 0.248
Cl 0.750 0.351 0.752
Cl 0.750 0.149 0.252
Cl 0.250 0.851 0.748
Cl 0.107 0.352 0.425
Cl 0.607 0.648 0.575
Cl 0.893 0.852 0.075
Cl 0.393 0.148 0.925
Cl 0.893 0.648 0.575
Cl 0.393 0.352 0.425
Cl 0.107 0.148 0.925
Cl 0.607 0.852 0.075
Cl 0.250 0.379 0.516
Cl 0.750 0.621 0.484
Cl 0.750 0.879 0.984
Cl 0.250 0.121 0.016
Cl 0.250 0.148 0.466
Cl 0.750 0.852 0.534
Cl 0.750 0.648 0.034
Cl 0.250 0.352 0.966

Output
- ΔE_f: -1.7184 eV/atom
- SG: Pnma, No. 62



Record 2
# PaCl4

PaCl4 after structural relaxation (PBE, the Materials Project).

a b c (Å): 7.114 7.114 7.114
angles (deg): 107.25 107.25 114.01
Atoms (fractional coordinates):
Pa 0.750 0.250 0.500
Pa 0.500 0.500 0.000
Cl 0.432 0.743 0.312
Cl 0.370 0.182 0.188
Cl 0.880 0.568 0.312
Cl 0.818 0.007 0.188
Cl 0.818 0.630 0.812
Cl 0.257 0.568 0.688
Cl 0.432 0.120 0.688
Cl 0.993 0.182 0.812

Output
- ΔE_f: -2.3426 eV/atom
- SG: I4_1/amd, No. 141



Record 3
# PbCl4

PbCl4 after structural relaxation (PBE, the Materials Project).

a b c (Å): 7.140 7.140 11.473
angles (deg): 66.10 66.10 48.28
Atoms (fractional coordinates):
Pb 0.261 0.739 0.250
Pb 0.739 0.261 0.750
Cl 0.900 0.856 0.192
Cl 0.100 0.144 0.808
Cl 0.383 0.373 0.933
Cl 0.627 0.617 0.567
Cl 0.144 0.100 0.308
Cl 0.856 0.900 0.692
Cl 0.617 0.627 0.067
Cl 0.373 0.383 0.433

Output
- ΔE_f: -1.1076 eV/atom
- SG: C2/c, No. 15



Record 4
# RbPbCl3

RbPbCl3 after structural relaxation (PBE, the Materials Project).

a b c (Å): 7.546 7.546 10.754
angles (deg): 90.00 90.00 146.62
Atoms (fractional coordinates):
Rb 0.748 0.252 0.750
Rb 0.252 0.748 0.250
Pb 0.000 0.000 0.500
Pb 0.000 0.000 0.000
Cl 0.633 0.367 0.444
Cl 0.367 0.633 0.944
Cl 0.633 0.367 0.056
Cl 0.367 0.633 0.556
Cl 0.075 0.925 0.750
Cl 0.925 0.075 0.250

Output
- ΔE_f: -1.8668 eV/atom
- SG: Cmcm, No. 63



Record 5
# RbPbCl3

RbPbCl3 after structural relaxation (PBE, the Materials Project).

a b c (Å): 5.723 5.723 5.723
angles (deg): 90.00 90.00 90.00
Atoms (fractional coordinates):
Rb 0.500 0.500 0.500
Pb 0.000 0.000 0.000
Cl 0.500 0.000 0.000
Cl 0.000 0.500 0.000
Cl 0.000 0.000 0.500

Output
- ΔE_f: -1.8284 eV/atom
- SG: Pm-3m, No. 221



Record 6
# Rb2PbCl5

Rb2PbCl5 after structural relaxation (PBE, the Materials Project).

a b c (Å): 9.021 9.883 12.433
angles (deg): 90.71 90.17 89.77
Atoms (fractional coordinates):
Rb 0.937 0.028 0.670
Rb 0.063 0.972 0.330
Rb 0.437 0.973 0.830
Rb 0.563 0.027 0.170
Rb 0.923 0.758 0.997
Rb 0.077 0.242 0.003
Rb 0.423 0.243 0.503
Rb 0.577 0.757 0.497
Pb 0.085 0.521 0.678
Pb 0.915 0.479 0.322
Pb 0.585 0.480 0.822
Pb 0.415 0.520 0.178
Cl 0.876 0.464 0.865
Cl 0.124 0.536 0.135
Cl 0.376 0.536 0.635
Cl 0.624 0.464 0.365
Cl 0.134 0.743 0.791
Cl 0.866 0.257 0.209
Cl 0.634 0.257 0.709
Cl 0.366 0.743 0.291
Cl 0.675 0.731 0.752
Cl 0.325 0.269 0.248
Cl 0.175 0.269 0.748
Cl 0.825 0.731 0.252
Cl 0.537 0.671 0.012
Cl 0.463 0.329 0.988
Cl 0.037 0.329 0.488
Cl 0.963 0.671 0.512
Cl 0.286 0.963 0.574
Cl 0.714 0.037 0.426
Cl 0.786 0.037 0.926
Cl 0.214 0.963 0.074

Output
- ΔE_f: -1.7038 eV/atom
- SG: P-1, No. 2



Number 1: MP2020-corrected energy -4.55 eV/atom. Number 2: MP2020-corrected energy -5.72 eV/atom. Number 3: MP2020-corrected energy -3.33 eV/atom. Number 4: MP2020-corrected energy -3.91 eV/atom. Number 5: MP2020-corrected energy -3.88 eV/atom. Number 6: MP2020-corrected energy -3.57 eV/atom.